Record 1
# Y2AgIr

Y2AgIr after structural relaxation (PBE, Materials Project).

```
4
Lattice="0.0000 3.5310 3.5310 3.5310 0.0000 3.5310 3.5310 3.5310 0.0000" Properties=species:S:1:pos:R:3 pbc="T T T"
Y 5.2965 5.2965 5.2965
Ir 0.0000 0.0000 0.0000
Y 1.7655 1.7655 1.7655
Ag 3.5310 3.5310 3.5310
```

---

Record 2
9
Lattice="4.0203 -6.9633 0.0000 4.0203 6.9633 0.0000 0.0000 0.0000 3.5036" Properties=species:S:1:pos:R:3 comment="Er3In4Co2, relaxed, DFT PBE" de_polymorph_mev_per_atom=143 pbc="T T T"
In 6.1890 2.5807 0.0000
In 4.0203 -2.3211 1.7518
Er 1.0537 -1.7707 1.7518
Co 0.0000 0.0000 0.0000
In 2.7111 4.0695 0.0000
Er 5.9802 -0.0272 1.7518
In 3.1607 0.3131 0.0000
Co 4.0203 2.3211 1.7518
Er 5.0269 -5.1654 1.7518

---

Record 3
12
Lattice="1.4560 3.8230 0.3709 -2.0909 -1.7106 3.0943 22.6964 -9.6162 10.0208" Properties=species:S:1:pos:R:3 comment="CeSe2, relaxed, DFT PBE" energy_mp2020_ha_per_atom=-0.2193 pbc="T T T"
Ce 13.2495 -5.8647 8.4375
Se 0.4574 -0.4449 2.7896
Se 21.4335 -9.0811 9.4632
Se 3.3384 -1.6655 4.0616
Se 12.9879 -3.4084 6.8922
Ce 8.9217 -1.6856 5.0969
Se 10.0853 -4.2730 4.4528
Ce 19.0876 -8.3383 11.0151
Ce 3.0836 0.7879 2.5193
Se 18.5541 -7.8612 8.1919
Se 7.2060 -3.0531 3.1815
Se 15.8689 -4.6290 8.1642

---

Record 4
# Ca2PdPt

Ca2PdPt after structural relaxation (PBE, Materials Project).

```
4
Lattice="0.0000 3.5163 3.5163 3.5163 0.0000 3.5163 3.5163 3.5163 0.0000" Properties=species:S:1:pos:R:3 pbc="T T T"
Pt 0.0000 0.0000 0.0000
Pd 3.5163 3.5163 3.5163
Ca 5.2745 5.2745 5.2745
Ca 1.7582 1.7582 1.7582
```

---

Record 5
4
Lattice="-2.6853 0.9126 2.0643 -0.6308 -3.2855 -1.0549 -0.2659 -2.1478 2.7155" Properties=species:S:1:pos:R:3 comment="H3S, relaxed, DFT PBE" energy_mp2020_ha_per_atom=-0.1205 pbc="T T T"
H -0.4693 -2.4289 -0.2840
H -1.7861 0.2617 1.7152
H -1.3079 -2.4542 2.4415
S -0.2338 -1.6364 2.0484

---

Record 6
4
Lattice="-3.0763 3.0763 7.0051 3.0763 -3.0763 7.0051 3.0763 3.0763 -7.0051" Properties=species:S:1:pos:R:3 comment="Rb3Pm, relaxed, DFT PBE" de_polymorph_mev_per_atom=0 pbc="T T T"
Pm 0.0000 0.0000 0.0000
Rb 3.0763 0.0000 3.5025
Rb 0.0000 3.0763 3.5025
Rb 0.0000 0.0000 7.0051

---

Record 7
20
Lattice="6.2094 0.0000 0.0000 0.0000 6.3141 0.0000 0.0000 0.0000 8.8418" Properties=species:S:1:pos:R:3 comment="KCaF3, relaxed, DFT PBE" energy_mp2020_ha_per_atom=-0.2019 pbc="T T T"
Ca 0.0000 0.0000 0.0000
F 0.4948 0.1735 6.6313
F 1.8186 4.9970 0.3716
F 1.8186 4.9970 4.0492
K 3.1576 6.0713 6.6313
Ca 3.1047 3.1570 0.0000
K 0.0529 3.3998 2.2104
Ca 0.0000 0.0000 4.4209
K 3.0518 0.2428 2.2104
F 4.3909 1.3171 4.7925
F 4.3909 1.3171 8.4701
F 3.5995 2.9835 2.2104
K 6.1566 2.9143 6.6313
F 2.6099 3.3305 6.6313
Ca 3.1047 3.1570 4.4209
F 1.2861 1.8400 4.0492
F 5.7147 6.1406 2.2104
F 4.9233 4.4741 8.4701
F 1.2861 1.8400 0.3716
F 4.9233 4.4741 4.7925

---

Record 8
80
Lattice="-6.7843 -10.1142 -10.4417 -5.7284 -2.9860 6.6143 -2.7727 8.6771 1.5159" Properties=species:S:1:pos:R:3 comment="Na3Zr2Si2PO12, relaxed, DFT PBE" energy_mp2020_ha_per_atom=-0.2929 de_polymorph_mev_per_atom=13 pbc="T T T"
O -6.4025 3.1962 3.3544
O -6.4100 -3.3588 -5.2066
Na -7.8157 -2.2199 -6.9369
O -4.1343 -0.6827 1.5782
O -13.3093 -5.3543 -2.7779
O -9.7132 -7.5754 -3.0493
Zr -7.0961 -2.0119 -3.8179
O -8.2408 -4.6296 -8.5788
Zr -6.5681 1.5522 4.7100
O -9.8525 -9.8591 -4.4882
O -4.2915 -1.8397 4.0481
O -7.0529 1.1958 -0.8642
Si -9.9772 -8.2091 -4.5363
O -5.8820 0.2053 3.3214
O -7.7525 -7.5190 -8.3512
O -10.5303 0.9947 2.1609
O -5.6184 5.4040 2.1742
Na -10.5640 -5.3785 -2.2027
P -0.9261 2.0072 0.6441
O -7.2246 -3.9549 0.1768
Na -4.3076 1.1716 -0.2890
Si -5.1429 -1.1867 2.7995
O -8.9079 -1.0166 2.7159
Zr -12.9303 -3.1574 -3.0082
O -6.1696 -2.2953 2.1473
O -7.7129 -1.0656 -0.0508
O -11.5263 -7.8745 -4.9840
Na -11.4182 -9.1590 -1.9344
O -9.0418 -2.1643 -4.6673
O -10.0427 -3.0653 0.7084
Si -10.1678 -3.2472 -5.1590
O -8.2845 -5.6280 -1.3879
Na -6.0955 1.1167 -3.4296
O -3.7863 3.4848 2.6221
Si -5.3523 3.7653 2.1986
O -2.0282 0.9221 0.5258
P -7.1824 -4.5429 -1.2696
Na -9.3681 0.3061 -4.4262
Si -11.6087 -2.7847 0.2849
O -8.3831 -4.1287 2.8424
O -10.3907 -7.2328 -0.3355
Na -9.2449 -5.5861 1.0496
Zr -8.7479 -6.0385 -6.9946
Na -2.9885 0.9640 2.9633
O -8.0166 -0.4271 -2.5400
O -6.9224 0.1404 6.2203
O -6.9305 -0.3679 -5.1736
O -3.5961 -3.3090 -2.5745
O -7.4887 3.1370 5.9880
O -11.8748 -1.1461 0.2605
Si -5.6708 -4.7508 -5.7285
O -8.5138 1.3998 3.8607
Si -9.6398 0.3169 3.3690
Zr -8.5694 -7.8411 -1.2740
O -4.8195 -5.4038 -4.4799
O -11.0583 -2.5694 -6.3671
O -9.4359 -4.5807 -5.8121
Zr -8.2200 -2.4744 1.5334
Si -3.7208 -1.6590 -2.6226
Zr -2.3131 -1.2910 0.6397
Na -5.5676 4.6808 5.0984
O -4.8893 2.7537 -2.0345
O -3.4568 -1.0253 -1.1356
O -3.2641 7.1085 1.1535
O -5.7518 -5.1045 -1.4724
Na -8.8401 3.8702 4.1018
O -6.6976 -5.8594 -6.3807
P -8.0900 0.0453 -1.0644
O -12.0082 -11.6546 -3.3861
Na -5.1618 -2.6089 -0.0207
Zr -6.6739 3.3927 -1.0944
O -5.7253 2.9975 0.7915
O -11.1457 -3.7964 -3.9482
O -7.4504 -3.4237 -2.3077
O -8.9111 -7.6928 -5.6856
O -9.5205 0.5584 -0.7602
Na -7.2877 1.3442 1.5911
O -11.9816 -3.5526 -1.1223
P -7.5621 3.6093 7.4636
O -5.2699 -1.3244 -3.0703

---

no.,formation energy from the elements (eV per atom)
1,-0.6013
2,-0.2295
3,-1.6603
4,-0.7880
5,0.2993
6,0.6120
7,-3.7231
8,-3.1360